{
  "formula": "Zr3U7O20",
  "functional": "PBE",
  "state": "optimized geometry",
  "lattice": [[2.4974, -13.1937, 7.8815], [5.8667, -13.0409, 6.1600], [2.5179, 3.0623, 5.1998]],
  "species": ["U", "U", "U", "U", "U", "U", "U", "O", "O", "O", "O", "O", "O", "O", "O", "O", "O", "O", "O", "O", "O", "O", "O", "O", "O", "O", "O", "Zr", "Zr", "Zr"],
  "frac_coords": [[0.5976, 0.5976, 0.7969], [0.7980, 0.7980, 0.3990], [0.8989, 0.8989, 0.6981], [0.0966, 0.0966, 0.3004], [0.6975, 0.6975, 0.0988], [0.2981, 0.2981, 0.8985], [0.9964, 0.9964, 0.0011], [0.6223, 0.6223, 0.1255], [0.7726, 0.7726, 0.0750], [0.9734, 0.9734, 0.6672], [0.3251, 0.3251, 0.2263], [0.7217, 0.7217, 0.4323], [0.5699, 0.5699, 0.4736], [0.2709, 0.2709, 0.5740], [0.5204, 0.5204, 0.8202], [0.3749, 0.3749, 0.8799], [0.8746, 0.8746, 0.3662], [0.6729, 0.6729, 0.7657], [0.4713, 0.4713, 0.1831], [0.9218, 0.9218, 0.0328], [0.2213, 0.2213, 0.9155], [0.1241, 0.1241, 0.6206], [0.0722, 0.0722, 0.9732], [0.0206, 0.0206, 0.3323], [0.1738, 0.1738, 0.2815], [0.4240, 0.4240, 0.5165], [0.8236, 0.8236, 0.7224], [0.1976, 0.1976, 0.5974], [0.4968, 0.4968, 0.4982], [0.3981, 0.3981, 0.2012]],
  "m_tot_mub_per_cell": 13.999,
  "sg": "Cm",
  "delta_e_f_mev_per_atom": -3707,
  "corrected_energy_ry_per_atom": -0.7713
}